A geometry-optimized EuAs2Ru2 structure. Source: Materials Project, functional r²SCAN.

Structure (extended XYZ):
```
5
Lattice="-2.089 2.089 5.429 2.089 -2.089 5.429 2.089 2.089 -5.429" Properties=species:S:1:pos:R:3 pbc="T T T"
Eu 0.000 0.000 0.000
As 0.000 0.000 3.930
As 0.000 0.000 6.927
Ru 2.089 0.000 2.714
Ru 0.000 2.089 2.714
```

Calculated formation energy: -0.793 eV per atom
Crystal system: tetragonal
SG: I4/mmm



A geometry-optimized Eu3As2S8 structure. Source: Materials Project, functional r²SCAN.

Structure (extended XYZ):
```
26
Lattice="4.600 2.656 9.174 -4.600 2.656 9.174 0.000 -5.312 9.174" Properties=species:S:1:pos:R:3 pbc="T T T"
Eu -3.125 -0.101 11.467
Eu -1.475 -2.757 16.054
Eu 1.650 -2.656 11.468
Eu -1.650 2.656 16.054
Eu 1.475 2.757 11.467
Eu 3.125 0.101 16.055
As 0.000 0.000 4.393
As 0.000 0.000 9.368
As 0.000 0.000 18.154
As 0.000 0.000 23.129
S -2.565 -2.354 13.248
S 0.000 0.000 2.190
S -2.036 0.302 8.661
S -3.321 1.044 14.274
S 0.756 -1.914 8.661
S 0.756 -3.398 14.274
S 0.000 0.000 11.571
S -1.279 -1.612 18.861
S 1.279 1.612 8.661
S 0.000 0.000 15.951
S -0.756 3.398 13.248
S -0.756 1.914 18.861
S 3.321 -1.044 13.248
S 2.036 -0.302 18.861
S 0.000 0.000 25.332
S 2.565 2.354 14.274
```

Calculated formation energy: -1.216 eV per atom
Crystal system: trigonal
SG: R-3c



A geometry-optimized Eu3Si2As4 structure. Source: Materials Project, functional r²SCAN.

Structure (extended XYZ):
```
36
Lattice="7.459 0.000 0.000 0.000 17.915 0.000 -2.669 0.000 6.787" Properties=species:S:1:pos:R:3 pbc="T T T"
Eu 1.654 3.311 0.080
Eu 0.320 5.646 3.473
Eu 0.519 1.145 3.453
Eu 1.853 7.813 0.060
Eu 0.590 10.000 3.397
Eu 1.924 16.873 0.003
Eu 2.867 1.042 6.783
Eu 4.201 7.915 3.390
Eu 2.938 10.102 6.727
Eu 4.272 16.770 3.333
Eu 4.471 12.269 3.314
Eu 3.137 14.604 6.707
Si 1.491 11.282 0.215
Si 0.157 15.591 3.608
Si -0.128 13.255 6.249
Si 1.206 13.618 2.856
Si 3.585 4.297 3.931
Si 4.919 4.660 0.538
Si 4.634 2.324 3.178
Si 3.300 6.633 6.572
As -1.935 10.077 5.134
As -0.601 16.796 1.740
As -0.301 12.323 1.528
As -1.635 14.550 4.921
As 3.038 10.166 1.612
As 1.704 16.707 5.006
As 1.750 12.490 4.933
As 3.085 14.383 1.540
As 1.706 3.532 5.247
As 3.041 5.425 1.853
As 3.087 1.208 1.781
As 1.752 7.749 5.174
As 6.426 3.365 1.866
As 5.091 5.592 5.259
As 5.392 1.119 5.046
As 6.726 7.838 1.653
```

Calculated formation energy: -1.008 eV per atom
Crystal system: monoclinic
SG: P2_1/c



A geometry-optimized AsF5 structure. Source: Materials Project, functional r²SCAN.

Structure (extended XYZ):
```
12
Lattice="5.624 0.000 0.000 -2.812 4.871 0.000 0.000 0.000 6.234" Properties=species:S:1:pos:R:3 pbc="T T T"
As 0.000 3.247 1.558
As 2.812 1.624 4.675
F 0.000 1.562 1.558
F -1.460 4.090 1.558
F 1.353 0.781 4.675
F 0.000 3.247 3.285
F 0.000 3.247 6.066
F 2.812 1.624 0.168
F 2.812 1.624 2.949
F 1.460 4.090 1.558
F 4.272 0.781 4.675
F 2.812 3.309 4.675
```

Calculated formation energy: -2.152 eV per atom
Crystal system: hexagonal
SG: P6_3/mmc



A geometry-optimized HgAs2H2F14 structure. Source: Materials Project, functional r²SCAN.

Structure (extended XYZ):
```
19
Lattice="4.907 0.000 0.000 1.492 6.770 0.000 1.932 -0.337 7.329" Properties=species:S:1:pos:R:3 pbc="T T T"
Hg 0.000 0.000 0.000
As 2.744 1.901 1.906
As 5.586 4.532 5.422
H 2.479 2.192 6.000
H 5.852 4.241 1.329
F 1.339 2.784 1.267
F 2.013 1.753 3.438
F 2.823 1.288 6.021
F 1.921 0.410 1.371
F 4.214 5.512 4.983
F 4.892 4.483 7.065
F 3.530 3.369 2.288
F 4.800 3.064 5.040
F 3.438 1.950 0.264
F 4.116 0.921 2.346
F 6.410 6.023 5.958
F 5.507 5.145 1.308
F 6.317 4.680 3.891
F 6.992 3.649 6.061
```

Calculated formation energy: -2.001 eV per atom
Crystal system: triclinic
SG: P-1



A geometry-optimized HgAsF7 structure. Source: Materials Project, functional r²SCAN.

Structure (extended XYZ):
```
36
Lattice="7.096 0.000 0.000 0.000 9.845 0.000 -1.870 0.000 7.645" Properties=species:S:1:pos:R:3 pbc="T T T"
Hg 0.846 2.407 3.175
Hg -0.090 2.516 6.997
Hg 5.315 7.330 0.648
Hg 4.380 7.438 4.470
As 0.834 5.551 5.341
As 1.770 9.216 1.518
As 3.456 0.629 6.127
As 4.391 4.294 2.304
F 0.368 0.070 2.316
F -0.567 4.852 6.138
F -0.114 6.946 4.917
F 0.821 7.822 1.094
F 0.048 1.779 5.009
F 0.983 3.144 1.187
F 1.312 0.133 0.005
F 0.377 4.790 3.828
F 1.339 6.285 6.825
F 2.274 8.482 3.002
F 2.645 0.838 1.919
F 1.710 4.084 5.742
F 2.229 6.201 4.524
F 3.164 8.566 0.702
F 2.061 1.279 6.943
F 2.997 3.644 3.121
F 3.515 5.761 1.903
F 2.580 9.007 5.726
F 2.951 1.363 4.643
F 3.886 3.560 0.820
F 4.849 5.055 3.817
F 3.913 9.712 7.640
F 4.243 6.701 6.459
F 5.178 8.066 2.636
F 4.404 2.023 6.551
F 5.339 2.899 2.728
F 5.793 4.993 1.507
F 4.858 9.775 5.329
```

Calculated formation energy: -2.026 eV per atom
Crystal system: monoclinic
SG: P2_1/c



A geometry-optimized Hg3As2F12 structure. Source: Materials Project, functional r²SCAN.

Structure (extended XYZ):
```
34
Lattice="5.711 0.000 0.000 0.000 8.535 0.000 -0.472 0.000 11.267" Properties=species:S:1:pos:R:3 pbc="T T T"
Hg 0.000 0.000 0.000
Hg -0.236 4.267 5.633
Hg 1.363 2.068 0.783
Hg 1.127 2.199 6.416
Hg 4.112 6.336 4.851
Hg 3.876 6.467 10.484
As 1.654 5.526 1.928
As 1.418 7.276 7.561
As 3.821 1.259 3.705
As 3.585 3.009 9.338
F 0.170 4.715 1.520
F -0.066 8.087 7.153
F 0.554 5.860 8.063
F 0.790 6.942 2.429
F 1.611 4.884 3.547
F 1.375 7.918 9.181
F 1.766 6.165 0.299
F 1.530 6.637 5.933
F 2.277 1.995 3.356
F 2.041 2.272 8.989
F 2.290 0.190 7.022
F 2.526 4.077 1.388
F 2.713 4.458 9.878
F 2.949 8.344 4.245
F 3.197 6.263 2.278
F 2.961 6.539 7.911
F 3.709 1.897 5.334
F 3.473 2.370 10.967
F 3.864 0.617 2.086
F 3.628 3.650 7.719
F 4.449 1.593 8.837
F 4.685 2.675 3.204
F 5.304 0.448 4.113
F 5.068 3.820 9.746
```

Calculated formation energy: -1.962 eV per atom
Crystal system: monoclinic
SG: P2_1/c



A geometry-optimized AsI3F6 structure. Source: Materials Project, functional r²SCAN.

Structure (extended XYZ):
```
20
Lattice="5.839 0.000 0.000 -1.443 7.882 0.000 -2.219 -0.439 10.187" Properties=species:S:1:pos:R:3 pbc="T T T"
As -0.752 2.015 3.152
As 2.929 5.429 7.035
I -0.955 1.667 9.817
I -0.287 2.296 7.290
I 0.398 6.777 3.356
I 1.779 0.666 6.831
I 2.464 5.148 2.897
I 3.132 5.776 0.370
F -0.979 3.583 2.402
F -0.460 0.447 3.887
F -1.474 5.211 6.091
F -2.023 6.179 8.316
F 0.740 1.812 2.226
F 0.195 2.772 4.413
F 1.982 4.671 5.774
F 1.437 5.631 7.961
F 4.200 1.264 1.871
F 3.651 2.232 4.096
F 2.636 6.997 6.300
F 3.156 3.860 7.785
```

Calculated formation energy: -1.562 eV per atom
Crystal system: triclinic
SG: P-1



A geometry-optimized AsI5F6 structure. Source: Materials Project, functional r²SCAN.

Structure (extended XYZ):
```
24
Lattice="5.272 -9.127 0.000 5.272 9.127 0.000 -5.209 0.000 6.660" Properties=species:S:1:pos:R:3 pbc="T T T"
As 1.365 6.236 4.995
As 3.969 -6.236 1.665
I 2.636 4.563 0.000
I -2.149 0.431 6.264
I -0.504 2.547 6.297
I 0.456 -0.431 2.934
I 3.234 2.547 3.693
I 0.031 -4.563 3.330
I 2.101 -2.547 2.967
I 4.878 0.431 3.725
I 5.838 -2.547 0.363
I 7.483 -0.431 0.395
F 1.605 7.489 3.782
F 0.394 2.871 2.034
F 1.125 7.489 6.207
F 1.635 5.003 3.783
F 1.094 5.003 6.206
F -2.211 -2.871 5.364
F 7.545 2.871 1.295
F 4.240 -5.003 0.453
F 3.699 -5.003 2.876
F 4.210 -7.489 0.453
F 4.941 -2.871 4.625
F 3.729 -7.489 2.877
```

Calculated formation energy: -1.311 eV per atom
Crystal system: monoclinic
SG: C2/c



A geometry-optimized AsI2F6 structure. Source: Materials Project, functional r²SCAN.

Structure (extended XYZ):
```
18
Lattice="6.061 -5.040 0.000 6.061 5.040 0.000 -1.441 0.000 5.805" Properties=species:S:1:pos:R:3 pbc="T T T"
As 1.707 0.000 2.558
As 8.973 0.000 3.247
I 4.931 1.626 0.639
I 5.749 1.626 5.166
I 4.931 -1.626 0.639
I 5.749 -1.626 5.166
F 1.143 1.242 3.629
F 0.223 0.000 1.676
F 2.342 1.232 1.462
F 1.143 -1.242 3.629
F 3.269 0.000 3.357
F 2.342 -1.232 1.462
F 8.338 1.232 4.343
F 7.411 0.000 2.448
F 9.537 1.242 2.176
F 8.338 -1.232 4.343
F 10.456 0.000 4.129
F 9.537 -1.242 2.176
```

Calculated formation energy: -1.727 eV per atom
Crystal system: monoclinic
SG: C2/m



A geometry-optimized AsSI2F6 structure. Source: Materials Project, functional r²SCAN.

Structure (extended XYZ):
```
40
Lattice="4.785 -6.374 0.000 4.785 6.374 0.000 -1.546 0.000 13.432" Properties=species:S:1:pos:R:3 pbc="T T T"
As 0.000 0.000 0.000
As -0.773 0.000 6.716
As 3.626 2.339 10.074
As 4.399 -2.339 3.358
S 3.480 3.993 3.280
S 5.317 3.993 3.436
S 2.707 -3.993 9.996
S 4.544 -3.993 10.152
I 2.700 2.049 5.165
I 3.567 1.666 0.992
I 5.230 1.666 5.724
I 6.098 2.049 1.551
I 1.927 -2.049 11.881
I 2.794 -1.666 7.708
I 4.457 -1.666 12.440
I 5.325 -2.049 8.266
F 2.312 4.881 13.343
F -0.041 0.346 5.175
F 0.525 0.848 7.512
F -0.814 -0.346 11.891
F 2.484 3.573 10.563
F 1.298 -0.848 0.796
F 4.939 4.881 6.805
F 2.902 2.361 8.483
F 2.503 1.111 10.592
F 4.767 3.573 9.585
F 4.350 2.361 11.665
F 3.276 -1.111 3.876
F 4.748 1.111 9.556
F 3.675 -2.361 1.767
F 3.257 -3.573 3.847
F 5.521 -1.111 2.840
F 5.123 -2.361 4.949
F 3.085 -4.881 6.627
F 6.727 0.848 12.636
F 5.540 -3.573 2.869
F 8.839 0.346 1.540
F 7.500 -0.848 5.920
F 8.066 -0.346 8.256
F 5.712 -4.881 0.089
```

Calculated formation energy: -1.579 eV per atom
Crystal system: monoclinic
SG: C2/c



A geometry-optimized KAs2F7 structure. Source: Materials Project, functional r²SCAN.

Structure (extended XYZ):
```
40
Lattice="10.713 0.000 0.000 0.000 7.268 0.000 -3.030 0.000 8.064" Properties=species:S:1:pos:R:3 pbc="T T T"
K 0.165 1.126 1.809
K -1.350 2.508 5.840
K 9.033 4.759 2.223
K 7.518 6.142 6.255
As 1.962 4.975 1.343
As 0.447 5.926 5.374
As 3.967 1.254 1.004
As 2.452 2.380 5.036
As 5.231 4.888 3.028
As 3.717 6.014 7.059
As 7.236 1.341 2.689
As 5.722 2.292 6.721
F -1.121 4.944 4.845
F 0.394 5.957 0.813
F 0.817 3.672 1.702
F -0.698 7.230 5.734
F -0.946 4.576 7.685
F 0.569 6.325 3.653
F 2.447 1.515 0.141
F 0.932 2.118 4.173
F 3.370 3.639 1.608
F 1.856 7.262 5.639
F 3.071 0.878 2.468
F 1.556 2.756 6.500
F 2.440 4.072 4.485
F 3.954 6.830 0.453
F 3.729 0.438 7.610
F 5.244 3.196 3.578
F 6.127 4.511 1.563
F 4.613 6.390 5.595
F 5.828 0.005 2.424
F 4.313 3.628 6.456
F 6.751 5.149 3.891
F 5.236 5.752 7.923
F 7.115 0.942 4.411
F 8.630 2.692 0.379
F 8.382 0.038 2.330
F 6.867 3.596 6.362
F 7.290 1.311 7.251
F 8.805 2.323 3.219
```

Calculated formation energy: -2.438 eV per atom
Crystal system: monoclinic
SG: P2_1/c